Run w
An optimized crystal structure of Li6V3P8O29. Source: the Materials Project, functional GGA+U.

Properties
Symmetry: P1 (1)
Density (g/cm3): 2.59

Cell lengths 9.7736, 9.7977, 13.9746 Å; angles 90.32, 89.95, 119.74 degrees
Positions (direct):
Li (0.0920, 0.3304, 0.0648)
Li (0.2399, 0.3394, 0.5620)
Li (0.0979, 0.7653, 0.5588)
Li (0.3362, 0.6616, 0.8858)
Li (0.2338, 0.9096, 0.0610)
Li (0.6728, 0.7672, 0.0607)
Li (0.3355, 0.1020, 0.4402)
Li (0.6636, 0.9055, 0.5618)
Li (0.7645, 0.6654, 0.4390)
Li (0.9003, 0.6652, 0.9401)
Li (0.0108, 0.0465, 0.9957)
Li (0.9850, 0.0362, 0.4942)
V (0.4364, 0.9999, 0.2496)
V (0.5662, 0.0045, 0.7540)
V (0.4371, 0.4334, 0.7515)
V (0.5639, 0.5628, 0.2470)
V (0.9968, 0.4302, 0.2525)
V (0.9996, 0.5609, 0.7453)
P (0.0916, 0.3154, 0.8467)
P (0.2286, 0.3149, 0.3435)
P (0.0877, 0.7739, 0.3416)
P (0.3301, 0.6649, 0.1275)
P (0.3387, 0.6699, 0.6296)
P (0.2208, 0.9062, 0.8423)
P (0.3095, 0.0837, 0.6579)
P (0.6861, 0.7762, 0.8421)
P (0.3060, 0.2207, 0.1583)
P (0.6875, 0.9125, 0.3447)
P (0.7784, 0.0825, 0.1594)
P (0.6666, 0.3348, 0.3682)
P (0.6685, 0.3375, 0.8709)
P (0.9173, 0.2187, 0.6610)
P (0.7722, 0.6859, 0.6564)
P (0.9140, 0.6845, 0.1575)
O (0.0131, 0.2092, 0.5800)
O (0.0885, 0.3440, 0.3373)
O (0.1981, 0.2047, 0.0777)
O (0.2585, 0.3410, 0.8378)
O (0.1029, 0.4780, 0.8311)
O (0.1869, 0.5104, 0.1655)
O (0.0931, 0.6220, 0.3286)
O (0.9994, 0.7713, 0.0680)
O (0.0758, 0.7369, 0.8362)
O (0.3291, 0.5163, 0.6714)
O (0.3845, 0.4692, 0.3300)
O (0.1909, 0.6784, 0.6677)
O (0.3293, 0.6667, 0.0192)
O (0.3432, 0.6707, 0.5226)
O (0.3198, 0.8090, 0.1680)
O (0.5213, 0.6264, 0.8304)
O (0.4866, 0.6761, 0.1650)
O (0.2550, 0.9201, 0.3410)
O (0.2035, 0.9968, 0.7514)
O (0.2200, 0.9964, 0.5685)
O (0.2132, 0.9832, 0.9333)
O (0.3710, 0.8910, 0.8304)
O (0.4902, 0.8151, 0.6730)
O (0.3402, 0.0818, 0.1589)
O (0.5310, 0.9134, 0.3305)
O (0.6597, 0.7421, 0.3365)
O (0.2100, 0.1981, 0.2573)
O (0.2229, 0.2290, 0.4350)
O (0.7755, 0.7778, 0.5687)
O (0.3324, 0.2505, 0.6587)
O (0.4653, 0.0835, 0.6692)
O (0.6634, 0.9189, 0.8413)
O (0.5100, 0.1891, 0.3291)
O (0.6198, 0.0781, 0.1682)
O (0.7945, 0.9908, 0.0778)
O (0.7707, 0.9837, 0.4375)
O (0.8016, 0.0088, 0.2584)
O (0.7462, 0.0844, 0.6580)
O (0.5227, 0.3386, 0.8229)
O (0.4597, 0.3784, 0.1662)
O (0.6625, 0.1866, 0.8252)
O (0.6664, 0.3414, 0.9768)
O (0.6645, 0.3416, 0.4750)
O (0.8068, 0.3232, 0.3235)
O (0.6184, 0.5307, 0.6667)
O (0.6769, 0.4893, 0.3256)
O (0.9176, 0.2532, 0.1598)
O (0.9886, 0.1999, 0.7605)
O (0.0144, 0.2352, 0.9383)
O (0.9245, 0.3810, 0.6684)
O (0.8165, 0.4843, 0.8285)
O (0.9142, 0.5299, 0.1709)
O (0.7439, 0.6584, 0.1574)
O (0.7717, 0.7694, 0.9307)
O (0.7941, 0.7916, 0.7505)
O (0.9179, 0.6626, 0.6561)
O (0.9997, 0.7762, 0.4305)
O (0.9996, 0.7958, 0.2493)

***

Run x
An optimized crystal structure of Li6V3P8O29. Source: the Materials Project, functional GGA+U.

Properties
Symmetry: P1 (1)
Density (g/cm3): 2.56

Cell lengths 9.8104, 9.8280, 14.0282 Å; angles 89.15, 89.00, 60.22 degrees
Positions (direct):
Li (0.0875, 0.6791, 0.5612)
Li (0.3273, 0.3227, 0.3883)
Li (0.3230, 0.3302, 0.8896)
Li (0.2267, 0.6920, 0.0646)
Li (0.6843, 0.0901, 0.0676)
Li (0.3397, 0.7634, 0.4395)
Li (0.6768, 0.2344, 0.5610)
Li (0.3113, 0.9134, 0.9366)
Li (0.7748, 0.3186, 0.9429)
Li (0.8971, 0.3362, 0.4369)
Li (0.9068, 0.7790, 0.9457)
Li (0.0003, 0.0026, 0.4933)
V (0.4352, 0.5700, 0.2468)
V (0.5663, 0.4314, 0.7500)
V (0.4342, 0.0018, 0.7431)
V (0.5685, 0.9913, 0.2572)
V (0.0017, 0.4321, 0.2478)
V (0.9969, 0.5636, 0.7482)
P (0.0881, 0.2247, 0.8353)
P (0.2169, 0.0841, 0.3388)
P (0.0922, 0.6821, 0.3444)
P (0.3373, 0.3344, 0.1295)
P (0.3329, 0.3370, 0.6282)
P (0.2289, 0.6754, 0.8440)
P (0.3177, 0.7689, 0.6601)
P (0.6753, 0.0891, 0.8451)
P (0.3206, 0.9174, 0.1533)
P (0.6787, 0.2270, 0.3414)
P (0.7728, 0.3182, 0.1588)
P (0.6680, 0.6620, 0.3726)
P (0.6636, 0.6670, 0.8691)
P (0.9156, 0.3134, 0.6521)
P (0.7790, 0.9198, 0.6591)
P (0.9133, 0.7692, 0.1618)
O (0.9829, 0.2332, 0.5590)
O (0.0776, 0.2530, 0.3425)
O (0.2542, 0.9920, 0.0600)
O (0.2547, 0.0798, 0.8378)
O (0.1103, 0.3717, 0.8227)
O (0.1884, 0.3380, 0.1779)
O (0.1025, 0.5205, 0.3359)
O (0.0033, 0.7592, 0.0713)
O (0.0771, 0.6655, 0.8458)
O (0.3259, 0.1934, 0.6714)
O (0.3703, 0.0953, 0.3343)
O (0.1862, 0.4911, 0.6675)
O (0.3310, 0.3370, 0.0225)
O (0.3335, 0.3426, 0.5211)
O (0.3323, 0.4892, 0.1632)
O (0.5100, 0.1123, 0.8259)
O (0.4847, 0.1862, 0.1691)
O (0.2623, 0.6572, 0.3371)
O (0.2115, 0.7849, 0.7529)
O (0.2324, 0.7684, 0.5715)
O (0.2491, 0.7502, 0.9315)
O (0.3691, 0.5083, 0.8253)
O (0.4884, 0.3270, 0.6655)
O (0.3348, 0.7521, 0.1618)
O (0.5170, 0.3760, 0.3292)
O (0.6542, 0.0851, 0.3417)
O (0.2009, 0.0163, 0.2384)
O (0.2057, 0.9850, 0.4179)
O (0.7989, 0.0131, 0.5799)
O (0.3462, 0.9073, 0.6628)
O (0.4732, 0.6120, 0.6734)
O (0.6602, 0.2543, 0.8432)
O (0.5151, 0.6722, 0.3326)
O (0.6201, 0.4776, 0.1782)
O (0.7556, 0.2447, 0.0698)
O (0.7674, 0.2295, 0.4283)
O (0.7869, 0.2081, 0.2490)
O (0.7485, 0.3342, 0.6655)
O (0.5183, 0.8166, 0.8263)
O (0.4793, 0.9055, 0.1762)
O (0.6632, 0.5170, 0.8325)
O (0.6714, 0.6699, 0.9748)
O (0.6689, 0.6556, 0.4788)
O (0.8167, 0.5116, 0.3305)
O (0.6192, 0.9260, 0.6640)
O (0.6730, 0.8091, 0.3295)
O (0.9147, 0.3404, 0.1606)
O (0.0159, 0.2010, 0.7383)
O (0.9877, 0.2362, 0.9184)
O (0.9136, 0.4700, 0.6653)
O (0.8160, 0.6625, 0.8228)
O (0.8981, 0.6229, 0.1780)
O (0.7516, 0.9191, 0.1638)
O (0.7456, 0.0029, 0.9369)
O (0.7929, 0.9927, 0.7603)
O (0.9171, 0.7504, 0.6599)
O (0.0167, 0.7717, 0.4339)
O (0.0059, 0.7854, 0.2517)

***

It is run x that is most stable; the runner-up trails by 0.6 kJ/mol of atoms.

***

Run w
An optimized crystal structure of Li6V3P8O29. Source: the Materials Project, functional GGA+U.

Properties
Symmetry: P1 (1)
Density (g/cm3): 2.58

Cell lengths 9.8023, 9.7963, 13.9820 Å; angles 90.01, 90.29, 60.40 degrees
Positions (direct):
Li (0.7607, 0.9065, 0.5582)
Li (0.9006, 0.3372, 0.5618)
Li (0.6725, 0.6661, 0.8887)
Li (0.7682, 0.3232, 0.0620)
Li (0.3247, 0.9082, 0.0588)
Li (0.3315, 0.7639, 0.5628)
Li (0.6815, 0.0883, 0.9394)
Li (0.3225, 0.3451, 0.1095)
Li (0.0970, 0.6658, 0.4380)
Li (0.2348, 0.0988, 0.4410)
Li (0.0381, 0.9408, 0.9964)
Li (0.9449, 0.0396, 0.4933)
V (0.5626, 0.4369, 0.2546)
V (0.4382, 0.5594, 0.7492)
V (0.5628, 0.0002, 0.7495)
V (0.4362, 0.0006, 0.2492)
V (0.9980, 0.5664, 0.2445)
V (0.0017, 0.4359, 0.7546)
P (0.9137, 0.7818, 0.8435)
P (0.7766, 0.9127, 0.3403)
P (0.9176, 0.3114, 0.3428)
P (0.6612, 0.6681, 0.1291)
P (0.6665, 0.6664, 0.6292)
P (0.7740, 0.3162, 0.8439)
P (0.6955, 0.2217, 0.6580)
P (0.3156, 0.9054, 0.8428)
P (0.6853, 0.0924, 0.1568)
P (0.3138, 0.7723, 0.3458)
P (0.2215, 0.6901, 0.1603)
P (0.3291, 0.3359, 0.3691)
P (0.3381, 0.3288, 0.8702)
P (0.0825, 0.6900, 0.6567)
P (0.2239, 0.0890, 0.6605)
P (0.0882, 0.2193, 0.1575)
O (0.9976, 0.7746, 0.5659)
O (0.9179, 0.7439, 0.3353)
O (0.7639, 0.0101, 0.0666)
O (0.7433, 0.9219, 0.8405)
O (0.8996, 0.6301, 0.8333)
O (0.8061, 0.6684, 0.1720)
O (0.9255, 0.4634, 0.3272)
O (0.9897, 0.2153, 0.0774)
O (0.9175, 0.3405, 0.8396)
O (0.6713, 0.8152, 0.6707)
O (0.6186, 0.9151, 0.3297)
O (0.8114, 0.5156, 0.6714)
O (0.6556, 0.6666, 0.0217)
O (0.6672, 0.6693, 0.5223)
O (0.6588, 0.5198, 0.1695)
O (0.4787, 0.8958, 0.8297)
O (0.5104, 0.8189, 0.1674)
O (0.7496, 0.3443, 0.3375)
O (0.7887, 0.2014, 0.7584)
O (0.8059, 0.2056, 0.5789)
O (0.7652, 0.2377, 0.9345)
O (0.6279, 0.4814, 0.8286)
O (0.5127, 0.6743, 0.6690)
O (0.6647, 0.2587, 0.1609)
O (0.4725, 0.6234, 0.3311)
O (0.3315, 0.9200, 0.3416)
O (0.7937, 0.0022, 0.2485)
O (0.7891, 0.9887, 0.4311)
O (0.2275, 0.0008, 0.5706)
O (0.6627, 0.0833, 0.6567)
O (0.5448, 0.3813, 0.6632)
O (0.3448, 0.7373, 0.8350)
O (0.4770, 0.3351, 0.3231)
O (0.3743, 0.5298, 0.1661)
O (0.2112, 0.7958, 0.0800)
O (0.2318, 0.7686, 0.4365)
O (0.1997, 0.7863, 0.2583)
O (0.2511, 0.6621, 0.6583)
O (0.4880, 0.1771, 0.8324)
O (0.5197, 0.1093, 0.1725)
O (0.3471, 0.4691, 0.8231)
O (0.3461, 0.3283, 0.9771)
O (0.3292, 0.3309, 0.4755)
O (0.1858, 0.4894, 0.3288)
O (0.3770, 0.0949, 0.6735)
O (0.3245, 0.1879, 0.3266)
O (0.0839, 0.6546, 0.1591)
O (0.9915, 0.8006, 0.7453)
O (0.0030, 0.7921, 0.9259)
O (0.0805, 0.5347, 0.6720)
O (0.1896, 0.3330, 0.8285)
O (0.1037, 0.3693, 0.1664)
O (0.2574, 0.0780, 0.1558)
O (0.2328, 0.9839, 0.9332)
O (0.2053, 0.0006, 0.7523)
O (0.0796, 0.2551, 0.6611)
O (0.9982, 0.2268, 0.4353)
O (0.0166, 0.1963, 0.2571)

***

Run x
An optimized crystal structure of Li6V3P8O29. Source: the Materials Project, functional GGA+U.

Properties
Symmetry: P1 (1)
Density (g/cm3): 2.59

Cell lengths 9.8061, 9.8185, 13.9250 Å; angles 89.98, 89.97, 60.18 degrees
Positions (direct):
Li (0.2292, 0.0943, 0.5604)
Li (0.0933, 0.6786, 0.5587)
Li (0.3307, 0.3277, 0.8859)
Li (0.2355, 0.6726, 0.0636)
Li (0.6708, 0.0970, 0.0637)
Li (0.3236, 0.7724, 0.4386)
Li (0.6796, 0.2282, 0.5583)
Li (0.7688, 0.3347, 0.9435)
Li (0.9052, 0.3254, 0.4355)
Li (0.7712, 0.9054, 0.4381)
Li (0.9003, 0.7642, 0.9409)
Li (0.0405, 0.0171, 0.0001)
V (0.4327, 0.5679, 0.2504)
V (0.5663, 0.4355, 0.7513)
V (0.4301, 0.9971, 0.7535)
V (0.5649, 0.9989, 0.2489)
V (0.0033, 0.4286, 0.2454)
V (0.9959, 0.5685, 0.7480)
P (0.0874, 0.2247, 0.8415)
P (0.2320, 0.0864, 0.3420)
P (0.0869, 0.6799, 0.3418)
P (0.3339, 0.3344, 0.1265)
P (0.3337, 0.3334, 0.6283)
P (0.2249, 0.6835, 0.8434)
P (0.3188, 0.7680, 0.6586)
P (0.6847, 0.0888, 0.8442)
P (0.3103, 0.9143, 0.1567)
P (0.6792, 0.2316, 0.3413)
P (0.7717, 0.3160, 0.1583)
P (0.6693, 0.6649, 0.3712)
P (0.6650, 0.6678, 0.8730)
P (0.9137, 0.3168, 0.6553)
P (0.7656, 0.9149, 0.6584)
P (0.9125, 0.7714, 0.1582)
O (0.0024, 0.2469, 0.5638)
O (0.0848, 0.2509, 0.3412)
O (0.2110, 0.9947, 0.0722)
O (0.2572, 0.0841, 0.8393)
O (0.0991, 0.3757, 0.8327)
O (0.1930, 0.3247, 0.1696)
O (0.0944, 0.5224, 0.3234)
O (0.9988, 0.7735, 0.0685)
O (0.0773, 0.6617, 0.8377)
O (0.3273, 0.1877, 0.6688)
O (0.3817, 0.0977, 0.3225)
O (0.1857, 0.4877, 0.6674)
O (0.3354, 0.3377, 0.0181)
O (0.3410, 0.3343, 0.5213)
O (0.3233, 0.4900, 0.1650)
O (0.5197, 0.1080, 0.8305)
O (0.4899, 0.1892, 0.1640)
O (0.2523, 0.6629, 0.3431)
O (0.2084, 0.7886, 0.7508)
O (0.2404, 0.7569, 0.5683)
O (0.2184, 0.7671, 0.9343)
O (0.3726, 0.5188, 0.8310)
O (0.4852, 0.3313, 0.6734)
O (0.3396, 0.7425, 0.1631)
O (0.5199, 0.3805, 0.3223)
O (0.6622, 0.0837, 0.3423)
O (0.2105, 0.9936, 0.2546)
O (0.2468, 0.9991, 0.4340)
O (0.7550, 0.0035, 0.5679)
O (0.3311, 0.9190, 0.6596)
O (0.4792, 0.6211, 0.6750)
O (0.6698, 0.2523, 0.8452)
O (0.5132, 0.6736, 0.3324)
O (0.6190, 0.4711, 0.1697)
O (0.7767, 0.2255, 0.0686)
O (0.7561, 0.2458, 0.4314)
O (0.7914, 0.2070, 0.2505)
O (0.7499, 0.3331, 0.6564)
O (0.5165, 0.8078, 0.8285)
O (0.4659, 0.9140, 0.1674)
O (0.6695, 0.5124, 0.8306)
O (0.6720, 0.6567, 0.9797)
O (0.6681, 0.6690, 0.4787)
O (0.8147, 0.5120, 0.3314)
O (0.6149, 0.9081, 0.6781)
O (0.6745, 0.8130, 0.3296)
O (0.9156, 0.3393, 0.1625)
O (0.0085, 0.2048, 0.7439)
O (0.9942, 0.2153, 0.9239)
O (0.9029, 0.4768, 0.6778)
O (0.8116, 0.6737, 0.8319)
O (0.9040, 0.6221, 0.1714)
O (0.7459, 0.9188, 0.1602)
O (0.7703, 0.9960, 0.9325)
O (0.7898, 0.0016, 0.7502)
O (0.9136, 0.7496, 0.6574)
O (0.9971, 0.7590, 0.4321)
O (0.9998, 0.7929, 0.2508)

***

It is run x that is most stable; the runner-up trails by 0.7 kJ/mol of atoms.